Record 1
A geometry-optimized Li2Ti2V3O10 structure, computed with GGA+U.

## Properties
**Energy of formation**: -2.813 eV per atom
**Energy above the most stable polymorph in this dataset**: 4 meV/atom

a b c (Å): 5.166 5.219 7.738
angles (deg): 75.76 77.88 76.60
Space group P1 (No. 1)
Asymmetric unit:
Li (0.000, 0.000, 0.000)
Li (0.105, 0.572, 0.785)
Ti (0.542, 0.915, 0.708)
Ti (0.560, 0.657, 0.078)
V (0.056, 0.785, 0.386)
V (0.513, 0.090, 0.286)
V (0.598, 0.470, 0.499)
O (0.267, 0.977, 0.171)
O (0.325, 0.732, 0.898)
O (0.344, 0.469, 0.337)
O (0.347, 0.830, 0.527)
O (0.390, 0.273, 0.703)
O (0.707, 0.304, 0.076)
O (0.767, 0.103, 0.458)
O (0.769, 0.722, 0.254)
O (0.781, 0.839, 0.878)
O (0.829, 0.577, 0.604)


Record 2
A geometry-optimized Li4MnOF5 structure, computed with GGA+U.

## Properties
**Energy of formation**: -2.860 eV per atom
**Energy above the most stable polymorph in this dataset**: 26 meV/atom

a b c (Å): 5.886 10.282 12.900
angles (deg): 90.00 90.12 90.00
Space group Cm (No. 8)
Asymmetric unit:
Li (0.000, 0.000, 0.000)
Li (0.003, 0.336, 0.618)
Li (0.006, 0.339, 0.314)
Li (0.148, 0.500, 0.156)
Li (0.166, 0.166, 0.455)
Li (0.173, 0.175, 0.156)
Li (0.489, 0.500, 0.316)
Li (0.494, 0.500, 0.621)
Mn (0.163, 0.500, 0.810)
Mn (0.165, 0.167, 0.810)
O (0.005, 0.000, 0.792)
O (0.005, 0.333, 0.800)
F (0.001, 0.000, 0.142)
F (0.049, 0.000, 0.482)
F (0.152, 0.153, 0.953)
F (0.159, 0.500, 0.656)
F (0.163, 0.164, 0.310)
F (0.170, 0.500, 0.307)
F (0.171, 0.171, 0.657)
F (0.193, 0.500, 0.953)
F (0.476, 0.191, 0.478)
F (0.498, 0.167, 0.157)


Record 3
A geometry-optimized KCaGdFeO6 structure, computed with GGA+U.

## Properties
**Energy of formation**: -2.192 eV per atom

a b c (Å): 8.187 8.187 8.187
angles (deg): 90.00 90.00 90.00
Space group F-43m (No. 216)
Asymmetric unit:
K (0.000, 0.000, 0.000)
Ca (0.000, 0.000, 0.500)
Gd (0.250, 0.250, 0.250)
Fe (0.250, 0.250, 0.750)
O (0.020, 0.250, 0.750)


Record 4
A geometry-optimized Ca4Mn3B3CO15 structure, computed with GGA+U.

## Properties
**Energy of formation**: -2.789 eV per atom

a b c (Å): 10.7324 10.7324 5.9886
angles (deg): 90.00 90.00 120.00
Space group P6_3 (No. 173)
Asymmetric unit:
Ca (0.1313, 0.8294, 0.0000)
Ca (0.3333, 0.6667, 0.0047)
Mn (0.0005, 0.5003, 0.2506)
B (0.2168, 0.7699, 0.5005)
C (0.0000, 0.0000, 0.3155)
O (0.0500, 0.9119, 0.3194)
O (0.0839, 0.3997, 0.5025)
O (0.0958, 0.4743, 0.0001)
O (0.1665, 0.6994, 0.7046)
O (0.1701, 0.6987, 0.2965)


Record 5
A geometry-optimized LiV2P3O12 structure, computed with GGA+U.

## Properties
**Energy of formation**: -2.577 eV per atom
**Energy above the most stable polymorph in this dataset**: 78 meV/atom

a b c (Å): 8.744 8.867 12.175
angles (deg): 90.00 90.00 90.00
Space group Pbcm (No. 57)
Asymmetric unit:
Li (0.180, 0.186, 0.250)
V (0.246, 0.524, 0.104)
P (0.030, 0.250, 0.000)
P (0.398, 0.627, 0.629)
O (0.065, 0.643, 0.073)
O (0.130, 0.165, 0.585)
O (0.211, 0.515, 0.250)
O (0.294, 0.531, 0.558)
O (0.344, 0.567, 0.750)
O (0.372, 0.704, 0.122)
O (0.430, 0.101, 0.619)


Record 6
A geometry-optimized RbLiMoO4 structure, computed with GGA+U.

## Properties
**Energy of formation**: -2.258 eV per atom
**Piezoelectric modulus e_max**: 0.504 C/m²

a b c (Å): 9.942 5.800 10.233
angles (deg): 90.00 110.76 90.00
Space group Cc (No. 9)
Asymmetric unit:
Rb (0.000, 0.224, 0.000)
Li (0.122, 0.242, 0.370)
Mo (0.247, 0.248, 0.746)
O (0.121, 0.056, 0.779)
O (0.204, 0.459, 0.275)
O (0.236, 0.214, 0.568)
O (0.427, 0.184, 0.861)


Record 7
A geometry-optimized Li2FeBO4 structure, computed with GGA+U.

## Properties
**Energy of formation**: -2.251 eV per atom
**Energy above the most stable polymorph in this dataset**: 62 meV/atom

a b c (Å): 8.867 4.769 14.281
angles (deg): 90.00 90.00 90.00
Space group Pca2_1 (No. 29)
Asymmetric unit:
Li (0.003, 0.026, 0.000)
Li (0.004, 0.525, 0.610)
Li (0.223, 0.525, 0.717)
Li (0.231, 0.043, 0.815)
Fe (0.017, 0.481, 0.346)
Fe (0.232, 0.512, 0.988)
B (0.013, 0.975, 0.229)
B (0.235, 0.012, 0.622)
O (0.001, 0.120, 0.830)
O (0.009, 0.717, 0.731)
O (0.022, 0.631, 0.973)
O (0.108, 0.167, 0.671)
O (0.166, 0.883, 0.197)
O (0.170, 0.786, 0.562)
O (0.177, 0.209, 0.065)
O (0.238, 0.448, 0.355)


Record 8
A geometry-optimized Mn7As6O24 structure, computed with GGA+U.

## Properties
**Energy of formation**: -1.855 eV per atom

a b c (Å): 6.571 8.453 9.954
angles (deg): 106.36 107.89 100.30
Space group P-1 (No. 2)
Asymmetric unit:
Mn (0.000, 0.000, 0.000)
Mn (0.056, 0.720, 0.523)
Mn (0.277, 0.816, 0.284)
Mn (0.385, 0.456, 0.116)
As (0.087, 0.579, 0.828)
As (0.225, 0.130, 0.773)
As (0.391, 0.234, 0.370)
O (0.000, 0.180, 0.663)
O (0.049, 0.524, 0.638)
O (0.107, 0.783, 0.916)
O (0.141, 0.554, 0.163)
O (0.199, 0.916, 0.707)
O (0.227, 0.186, 0.953)
O (0.242, 0.282, 0.482)
O (0.258, 0.030, 0.228)
O (0.321, 0.523, 0.918)
O (0.362, 0.777, 0.502)
O (0.461, 0.380, 0.295)
O (0.468, 0.244, 0.770)


Question: Which of these has the highest energy of formation?
Answer: Mn7As6O24


Question: Which value of energy of formation does entry 3 give?
Answer: -2.192 eV per atom